This record from Materials Project describes Si7Tc4 after structural relaxation. The functional is PBE.

- Calculated total energy: -342.871 eV/cell
- Formation energy: -0.573 eV per atom

Unit cell a=5.770 b=5.770 c=18.179 alpha=90.00 beta=90.00 gamma=90.00
Space group P-4c2 (No. 116)
Asymmetric unit:
Si1 0.151 0.194 0.114 [8 per cell]
Si2 0.153 0.328 0.817 [8 per cell]
Si3 0.229 0.349 0.540 [8 per cell]
Si4 0.340 0.340 0.250 [4 per cell]
Tc1 0.000 0.000 0.000 [2 per cell]
Tc2 0.000 0.000 0.250 [2 per cell]
Tc3 0.000 0.500 0.192 [4 per cell]
Tc4 0.000 0.500 0.435 [4 per cell]
Tc5 0.500 0.500 0.130 [4 per cell]